Record 1
# PBE+U ZrMnH10O5F6, optimized geometry
# M_tot: 0.217 μB/atom
# formation energy from the elements: -202 kJ per mole of atoms
# corrected total energy (MP2020 scheme): -5.916 eV/atom
data_ZrMnH10O5F6
_chemical_formula_sum 'Zr2 Mn2 H20 O10 F12'
_space_group_name_H-M_alt 'P 1'
_space_group_IT_number 1
_cell_length_a 8.7755
_cell_length_b 8.7755
_cell_length_c 8.8754
_cell_angle_alpha 118.86
_cell_angle_beta 118.86
_cell_angle_gamma 51.61
loop_
_space_group_symop_operation_xyz
'x,y,z'
loop_
_atom_site_label
_atom_site_fract_x
_atom_site_fract_y
_atom_site_fract_z
Zr1 0.0000 0.0000 0.0000
Zr2 0.5006 0.4994 0.0000
Mn1 0.5204 0.0206 0.2252
Mn2 0.9794 0.4796 0.7748
H1 0.0155 0.5024 0.4883
H2 0.0300 0.7377 0.4541
H3 0.0306 0.1074 0.7241
H4 0.1489 0.4381 0.1225
H5 0.1774 0.6642 0.6302
H6 0.2427 0.0971 0.8096
H7 0.2623 0.9700 0.5459
H8 0.3225 0.4445 0.3853
H9 0.3358 0.8226 0.3698
H10 0.4641 0.3975 0.2798
H11 0.4976 0.9845 0.5117
H12 0.5542 0.0575 0.9392
H13 0.5555 0.6775 0.6147
H14 0.5619 0.8511 0.8775
H15 0.6025 0.5359 0.7202
H16 0.6461 0.0723 0.5959
H17 0.8926 0.9694 0.2759
H18 0.9029 0.7573 0.1904
H19 0.9277 0.3539 0.4041
H20 0.9425 0.4458 0.0608
O1 0.0047 0.5058 0.0542
O2 0.1112 0.1481 0.7177
O3 0.1334 0.6159 0.4986
O4 0.3841 0.8666 0.5014
O5 0.3886 0.3498 0.2852
O6 0.4942 0.9953 0.9458
O7 0.5509 0.0405 0.4874
O8 0.6502 0.6114 0.7148
O9 0.8519 0.8888 0.2823
O10 0.9595 0.4491 0.5126
F1 0.2150 0.0837 0.1160
F2 0.2393 0.7410 0.8570
F3 0.2590 0.7607 0.1430
F4 0.2850 0.4157 0.8840
F5 0.5510 0.4198 0.7631
F6 0.5802 0.4490 0.2369
F7 0.5843 0.7150 0.1160
F8 0.6612 0.1593 0.9326
F9 0.8407 0.3388 0.0674
F10 0.9105 0.0452 0.7557
F11 0.9163 0.7850 0.8840
F12 0.9548 0.0895 0.2443

Record 2
# PBE+U MoH12N3O5F3, optimized geometry
# M_tot: 0.000 μB/atom
# formation energy from the elements: -93 kJ per mole of atoms
# corrected total energy (MP2020 scheme): -5.426 eV/atom
data_MoH12N3O5F3
_chemical_formula_sum 'Mo4 H48 N12 O20 F12'
_space_group_name_H-M_alt 'P 1'
_space_group_IT_number 1
_cell_length_a 6.8387
_cell_length_b 8.8240
_cell_length_c 15.6412
_cell_angle_alpha 90.00
_cell_angle_beta 90.00
_cell_angle_gamma 90.00
loop_
_space_group_symop_operation_xyz
'x,y,z'
loop_
_atom_site_label
_atom_site_fract_x
_atom_site_fract_y
_atom_site_fract_z
Mo1 0.1875 0.2426 0.1634
Mo2 0.3125 0.7574 0.6634
Mo3 0.6875 0.2574 0.8366
Mo4 0.8125 0.7426 0.3366
H1 0.0969 0.2867 0.7337
H2 0.1006 0.8579 0.9464
H3 0.1095 0.4251 0.8826
H4 0.1379 0.5721 0.9490
H5 0.1409 0.2159 0.6334
H6 0.1579 0.1019 0.7182
H7 0.1661 0.4957 0.3931
H8 0.1696 0.1114 0.4778
H9 0.1706 0.7597 0.2045
H10 0.1838 0.0402 0.9530
H11 0.2326 0.0731 0.3748
H12 0.2466 0.4005 0.9740
H13 0.2534 0.5995 0.4740
H14 0.2674 0.9269 0.8748
H15 0.3162 0.9598 0.4530
H16 0.3294 0.2403 0.7045
H17 0.3304 0.8886 0.9778
H18 0.3339 0.5043 0.8931
H19 0.3421 0.8981 0.2182
H20 0.3591 0.7841 0.1334
H21 0.3621 0.4279 0.4490
H22 0.3905 0.5749 0.3826
H23 0.3994 0.1421 0.4464
H24 0.4031 0.7133 0.2337
H25 0.5969 0.2133 0.2663
H26 0.6006 0.6421 0.0536
H27 0.6095 0.0749 0.1174
H28 0.6379 0.9279 0.0510
H29 0.6409 0.2841 0.3666
H30 0.6579 0.3981 0.2818
H31 0.6661 0.0043 0.6069
H32 0.6696 0.3886 0.5222
H33 0.6706 0.7403 0.7955
H34 0.6838 0.4598 0.0470
H35 0.7326 0.4269 0.6252
H36 0.7466 0.0995 0.0260
H37 0.7534 0.9005 0.5260
H38 0.7674 0.5731 0.1252
H39 0.8162 0.5402 0.5470
H40 0.8294 0.2597 0.2955
H41 0.8304 0.6114 0.0222
H42 0.8339 0.9957 0.1069
H43 0.8421 0.6019 0.7818
H44 0.8591 0.7159 0.8666
H45 0.8621 0.0721 0.5510
H46 0.8905 0.9251 0.6174
H47 0.8994 0.3579 0.5536
H48 0.9031 0.7867 0.7663
N1 0.1831 0.2118 0.6981
N2 0.2080 0.4745 0.9252
N3 0.2198 0.9315 0.9373
N4 0.2802 0.0685 0.4373
N5 0.2920 0.5255 0.4252
N6 0.3169 0.7882 0.1981
N7 0.6831 0.2882 0.3019
N8 0.7080 0.0255 0.0748
N9 0.7198 0.5685 0.0627
N10 0.7802 0.4315 0.5627
N11 0.7920 0.9745 0.5748
N12 0.8169 0.7118 0.8019
O1 0.0228 0.8268 0.3744
O2 0.0834 0.1644 0.2760
O3 0.1168 0.6015 0.6392
O4 0.1281 0.7092 0.5670
O5 0.1871 0.3109 0.2828
O6 0.3129 0.6891 0.7828
O7 0.3719 0.2908 0.0670
O8 0.3832 0.3985 0.1392
O9 0.4166 0.8356 0.7760
O10 0.4772 0.1732 0.8744
O11 0.5228 0.6732 0.6256
O12 0.5834 0.3356 0.7240
O13 0.6168 0.8985 0.3608
O14 0.6281 0.7908 0.4330
O15 0.6871 0.1891 0.7172
O16 0.8129 0.8109 0.2172
O17 0.8719 0.2092 0.9330
O18 0.8832 0.1015 0.8608
O19 0.9166 0.6644 0.2240
O20 0.9772 0.3268 0.1256
F1 0.0300 0.2076 0.5381
F2 0.0562 0.8955 0.7048
F3 0.1267 0.0433 0.1094
F4 0.3733 0.9567 0.6094
F5 0.4438 0.1045 0.2048
F6 0.4700 0.7924 0.0381
F7 0.5300 0.2924 0.4619
F8 0.5562 0.6045 0.2952
F9 0.6267 0.4567 0.8906
F10 0.8733 0.5433 0.3906
F11 0.9438 0.3955 0.7952
F12 0.9700 0.7076 0.9619

Record 3
# PBE+U Na2MoH2O3F4, optimized geometry
# M_tot: 0.001 μB/atom
# formation energy from the elements: -222 kJ per mole of atoms
# corrected total energy (MP2020 scheme): -5.862 eV/atom
data_Na2MoH2O3F4
_chemical_formula_sum 'Na8 Mo4 H8 O12 F16'
_space_group_name_H-M_alt 'P 1'
_space_group_IT_number 1
_cell_length_a 5.5031
_cell_length_b 5.8314
_cell_length_c 19.4632
_cell_angle_alpha 90.00
_cell_angle_beta 90.00
_cell_angle_gamma 90.00
loop_
_space_group_symop_operation_xyz
'x,y,z'
loop_
_atom_site_label
_atom_site_fract_x
_atom_site_fract_y
_atom_site_fract_z
Na1 0.2387 0.2384 0.3618
Na2 0.2398 0.6823 0.2497
Na3 0.2602 0.3177 0.7497
Na4 0.2613 0.7616 0.8618
Na5 0.7387 0.2616 0.6382
Na6 0.7398 0.8177 0.7503
Na7 0.7602 0.1823 0.2503
Na8 0.7613 0.7384 0.1382
Mo1 0.2349 0.7605 0.6359
Mo2 0.2651 0.2395 0.1359
Mo3 0.7349 0.7395 0.3641
Mo4 0.7651 0.2605 0.8641
H1 0.0051 0.7150 0.0050
H2 0.1972 0.0277 0.4981
H3 0.3028 0.9723 0.9981
H4 0.4949 0.2850 0.5050
H5 0.5051 0.7850 0.9950
H6 0.6972 0.4723 0.5019
H7 0.8028 0.5277 0.0019
H8 0.9949 0.2150 0.4950
O1 0.0343 0.4152 0.8705
O2 0.1420 0.2156 0.0543
O3 0.1627 0.1819 0.4803
O4 0.3373 0.8181 0.9803
O5 0.3580 0.7844 0.5543
O6 0.4657 0.5848 0.3705
O7 0.5343 0.0848 0.1295
O8 0.6420 0.2844 0.9457
O9 0.6627 0.3181 0.5197
O10 0.8373 0.6819 0.0197
O11 0.8580 0.7156 0.4457
O12 0.9657 0.9152 0.6295
F1 0.0248 0.9268 0.3225
F2 0.0738 0.9808 0.1753
F3 0.0979 0.4518 0.6286
F4 0.1401 0.7058 0.7426
F5 0.3599 0.2942 0.2426
F6 0.4021 0.5482 0.1286
F7 0.4262 0.0192 0.6753
F8 0.4752 0.0732 0.8225
F9 0.5248 0.5732 0.6775
F10 0.5738 0.5192 0.8247
F11 0.5979 0.0482 0.3714
F12 0.6401 0.7942 0.2574
F13 0.8599 0.2058 0.7574
F14 0.9021 0.9518 0.8714
F15 0.9262 0.4808 0.3247
F16 0.9752 0.4268 0.1775

Record 4
# PBE+U NaVH8N2F6, optimized geometry
# M_tot: 0.111 μB/atom
# formation energy from the elements: -164 kJ per mole of atoms
# corrected total energy (MP2020 scheme): -5.354 eV/atom
data_NaVH8N2F6
_chemical_formula_sum 'Na1 V1 H8 N2 F6'
_space_group_name_H-M_alt 'P 1'
_space_group_IT_number 1
_cell_length_a 6.0682
_cell_length_b 6.0682
_cell_length_c 6.0682
_cell_angle_alpha 60.00
_cell_angle_beta 60.00
_cell_angle_gamma 60.00
loop_
_space_group_symop_operation_xyz
'x,y,z'
loop_
_atom_site_label
_atom_site_fract_x
_atom_site_fract_y
_atom_site_fract_z
Na1 0.0000 0.0000 0.0000
V1 0.5000 0.5000 0.5000
H1 0.1811 0.1811 0.1811
H2 0.1811 0.1811 0.4568
H3 0.1811 0.4568 0.1811
H4 0.4568 0.1811 0.1811
H5 0.5432 0.8189 0.8189
H6 0.8189 0.5432 0.8189
H7 0.8189 0.8189 0.5432
H8 0.8189 0.8189 0.8189
N1 0.2500 0.2500 0.2500
N2 0.7500 0.7500 0.7500
F1 0.2674 0.2674 0.7326
F2 0.2674 0.7326 0.2674
F3 0.2674 0.7326 0.7326
F4 0.7326 0.2674 0.2674
F5 0.7326 0.2674 0.7326
F6 0.7326 0.7326 0.2674

Record 5
# PBE+U VH8N2OF4, optimized geometry
# M_tot: 0.063 μB/atom
# formation energy from the elements: -140 kJ per mole of atoms
# corrected total energy (MP2020 scheme): -5.550 eV/atom
data_VH8N2OF4
_chemical_formula_sum 'V4 H32 N8 O4 F16'
_space_group_name_H-M_alt 'P 1'
_space_group_IT_number 1
_cell_length_a 7.7778
_cell_length_b 11.8937
_cell_length_c 5.9227
_cell_angle_alpha 90.00
_cell_angle_beta 90.00
_cell_angle_gamma 90.00
loop_
_space_group_symop_operation_xyz
'x,y,z'
loop_
_atom_site_label
_atom_site_fract_x
_atom_site_fract_y
_atom_site_fract_z
V1 0.1732 0.0652 0.0000
V2 0.3268 0.5652 0.5000
V3 0.6732 0.4348 0.0000
V4 0.8268 0.9348 0.5000
H1 0.0120 0.8177 0.1274
H2 0.0132 0.1754 0.3459
H3 0.0635 0.3445 0.9851
H4 0.0810 0.7105 0.9594
H5 0.1275 0.2692 0.4974
H6 0.1366 0.4562 0.8344
H7 0.1407 0.4619 0.1158
H8 0.2228 0.8768 0.4800
H9 0.2772 0.3768 0.9800
H10 0.3593 0.9619 0.6158
H11 0.3634 0.9562 0.3344
H12 0.3725 0.7692 0.9974
H13 0.4190 0.2105 0.4594
H14 0.4365 0.8445 0.4851
H15 0.4868 0.6754 0.8459
H16 0.4880 0.3177 0.6274
H17 0.5120 0.6823 0.1274
H18 0.5132 0.3246 0.3459
H19 0.5635 0.1555 0.9851
H20 0.5810 0.7895 0.9594
H21 0.6275 0.2308 0.4974
H22 0.6366 0.0438 0.8344
H23 0.6407 0.0381 0.1158
H24 0.7228 0.6232 0.4800
H25 0.7772 0.1232 0.9800
H26 0.8593 0.5381 0.6158
H27 0.8634 0.5438 0.3344
H28 0.8725 0.7308 0.9974
H29 0.9190 0.2895 0.4594
H30 0.9365 0.6555 0.4851
H31 0.9868 0.8246 0.8459
H32 0.9880 0.1823 0.6274
N1 0.0112 0.2284 0.4834
N2 0.1529 0.4088 0.9786
N3 0.3471 0.9088 0.4786
N4 0.4888 0.7284 0.9834
N5 0.5112 0.2716 0.4834
N6 0.6529 0.0912 0.9786
N7 0.8471 0.5912 0.4786
N8 0.9888 0.7716 0.9834
O1 0.1975 0.6169 0.6973
O2 0.3025 0.1169 0.1973
O3 0.6975 0.8831 0.6973
O4 0.8025 0.3831 0.1973
F1 0.0023 0.1861 0.9705
F2 0.0037 0.9977 0.2116
F3 0.2044 0.6148 0.2346
F4 0.2227 0.4178 0.4613
F5 0.2773 0.9178 0.9613
F6 0.2956 0.1148 0.7346
F7 0.4963 0.4977 0.7116
F8 0.4977 0.6861 0.4705
F9 0.5023 0.3139 0.9705
F10 0.5037 0.5023 0.2116
F11 0.7044 0.8852 0.2346
F12 0.7227 0.0822 0.4613
F13 0.7773 0.5822 0.9613
F14 0.7956 0.3852 0.7346
F15 0.9963 0.0023 0.7116
F16 0.9977 0.8139 0.4705

Record 6
# PBE+U VH12N3O5F2, optimized geometry
# M_tot: 0.000 μB/atom
# formation energy from the elements: -89 kJ per mole of atoms
# corrected total energy (MP2020 scheme): -5.419 eV/atom
data_VH12N3O5F2
_chemical_formula_sum 'V4 H48 N12 O20 F8'
_space_group_name_H-M_alt 'P 1'
_space_group_IT_number 1
_cell_length_a 6.9349
_cell_length_b 8.4339
_cell_length_c 13.4030
_cell_angle_alpha 90.00
_cell_angle_beta 90.00
_cell_angle_gamma 90.00
loop_
_space_group_symop_operation_xyz
'x,y,z'
loop_
_atom_site_label
_atom_site_fract_x
_atom_site_fract_y
_atom_site_fract_z
V1 0.1654 0.0031 0.1003
V2 0.3346 0.9969 0.6003
V3 0.6654 0.4969 0.8997
V4 0.8346 0.5031 0.3997
H1 0.0019 0.5771 0.0366
H2 0.0651 0.3040 0.8860
H3 0.0688 0.5514 0.1578
H4 0.0697 0.6684 0.8200
H5 0.1434 0.8566 0.7890
H6 0.1510 0.7955 0.9092
H7 0.1593 0.4287 0.0715
H8 0.1698 0.1711 0.8048
H9 0.1901 0.2822 0.3265
H10 0.2143 0.6574 0.3351
H11 0.2270 0.6237 0.0709
H12 0.2397 0.7987 0.4231
H13 0.2603 0.2013 0.9231
H14 0.2730 0.3763 0.5709
H15 0.2857 0.3426 0.8351
H16 0.3099 0.7178 0.8265
H17 0.3302 0.8289 0.3048
H18 0.3407 0.5713 0.5715
H19 0.3490 0.2045 0.4092
H20 0.3566 0.1434 0.2890
H21 0.4303 0.3316 0.3200
H22 0.4312 0.4486 0.6578
H23 0.4349 0.6960 0.3860
H24 0.4981 0.4229 0.5366
H25 0.5019 0.9229 0.9634
H26 0.5651 0.1960 0.1140
H27 0.5688 0.9486 0.8422
H28 0.5697 0.8316 0.1800
H29 0.6434 0.6434 0.2110
H30 0.6510 0.7045 0.0908
H31 0.6593 0.0713 0.9285
H32 0.6698 0.3289 0.1952
H33 0.6901 0.2178 0.6735
H34 0.7143 0.8426 0.6649
H35 0.7270 0.8763 0.9291
H36 0.7397 0.7013 0.5769
H37 0.7603 0.2987 0.0769
H38 0.7730 0.1237 0.4291
H39 0.7857 0.1574 0.1649
H40 0.8099 0.7822 0.1735
H41 0.8302 0.6711 0.6952
H42 0.8407 0.9287 0.4285
H43 0.8490 0.2955 0.5908
H44 0.8566 0.3566 0.7110
H45 0.9303 0.1684 0.6800
H46 0.9312 0.0514 0.3422
H47 0.9349 0.8040 0.6140
H48 0.9981 0.0771 0.4634
N1 0.1147 0.5450 0.0836
N2 0.1681 0.7594 0.8363
N3 0.1950 0.2547 0.8610
N4 0.3050 0.7452 0.3610
N5 0.3319 0.2406 0.3363
N6 0.3853 0.4550 0.5836
N7 0.6147 0.9550 0.9164
N8 0.6681 0.7406 0.1637
N9 0.6950 0.2452 0.1390
N10 0.8050 0.7548 0.6390
N11 0.8319 0.2594 0.6637
N12 0.8853 0.0450 0.4164
O1 0.0037 0.0030 0.0110
O2 0.0062 0.0229 0.2169
O3 0.0458 0.8559 0.1934
O4 0.1415 0.8566 0.5412
O5 0.2265 0.2232 0.1098
O6 0.2735 0.7768 0.6098
O7 0.3585 0.1434 0.0412
O8 0.4542 0.1441 0.6934
O9 0.4938 0.9771 0.7169
O10 0.4963 0.9970 0.5110
O11 0.5037 0.4970 0.9890
O12 0.5062 0.4771 0.7831
O13 0.5458 0.6441 0.8066
O14 0.6415 0.6434 0.4588
O15 0.7265 0.2768 0.8902
O16 0.7735 0.7232 0.3902
O17 0.8585 0.3566 0.9588
O18 0.9542 0.3559 0.3066
O19 0.9938 0.5229 0.2831
O20 0.9963 0.5030 0.4890
F1 0.0872 0.0236 0.7195
F2 0.1818 0.1720 0.5414
F3 0.3182 0.8280 0.0414
F4 0.4128 0.9764 0.2195
F5 0.5872 0.4764 0.2805
F6 0.6818 0.3280 0.4586
F7 0.8182 0.6720 0.9586
F8 0.9128 0.5236 0.7805

Which value of corrected total energy (MP2020 scheme) does entry 4 give?
-5.354 eV/atom

Among the records above, which one has the highest M_tot?
ZrMnH10O5F6

Among the records above, which one has the highest M_tot?
ZrMnH10O5F6